The following is a DFT calculation (PBE with a Hubbard U) of a relaxed structure of Li2Mn2P2O7F2.

Calculated values
energy with MP2020 corrections	-444.3	eV for the cell shown
calculated volume	13.34	A^3/atom
spin magnetization	0.00	μB per cell
E_tot	-6.80	eV/atom

Cell lengths 6.775, 10.495, 11.259 Å; angles 90.00, 90.00, 90.00 degrees
Positions (direct):
Li1 0.520 0.028 0.790
Li2 0.480 0.472 0.790
Li3 0.980 0.528 0.710
Li4 0.020 0.972 0.710
Li5 0.980 0.028 0.290
Li6 0.020 0.472 0.290
Li7 0.520 0.528 0.210
Li8 0.480 0.972 0.210
Mn1 0.000 0.000 0.000
Mn2 0.000 0.500 0.000
Mn3 0.000 0.250 0.831
Mn4 0.500 0.750 0.669
Mn5 0.500 0.500 0.500
Mn6 0.500 0.000 0.500
Mn7 0.500 0.250 0.331
Mn8 0.000 0.750 0.169
P1 0.283 0.750 0.923
P2 0.717 0.750 0.923
P3 0.217 0.250 0.577
P4 0.783 0.250 0.577
P5 0.217 0.750 0.423
P6 0.783 0.750 0.423
P7 0.283 0.250 0.077
P8 0.717 0.250 0.077
O1 0.166 0.325 0.983
O2 0.834 0.175 0.983
O3 0.500 0.750 0.984
O4 0.224 0.610 0.908
O5 0.776 0.890 0.908
O6 0.297 0.820 0.803
O7 0.703 0.680 0.803
O8 0.203 0.320 0.697
O9 0.797 0.180 0.697
O10 0.276 0.110 0.592
O11 0.724 0.390 0.592
O12 0.000 0.250 0.516
O13 0.666 0.675 0.517
O14 0.334 0.825 0.517
O15 0.334 0.325 0.483
O16 0.666 0.175 0.483
O17 0.000 0.750 0.484
O18 0.276 0.610 0.408
O19 0.724 0.890 0.408
O20 0.797 0.680 0.303
O21 0.203 0.820 0.303
O22 0.297 0.320 0.197
O23 0.703 0.180 0.197
O24 0.224 0.110 0.092
O25 0.776 0.390 0.092
O26 0.500 0.250 0.016
O27 0.166 0.825 0.017
O28 0.834 0.675 0.017
F1 0.128 0.064 0.834
F2 0.872 0.436 0.834
F3 0.372 0.564 0.666
F4 0.628 0.936 0.666
F5 0.372 0.064 0.334
F6 0.628 0.436 0.334
F7 0.128 0.564 0.166
F8 0.872 0.936 0.166

=====

The following is a DFT calculation (PBE with a Hubbard U) of a relaxed structure of Li2MnPO4F.

Calculated values
energy with MP2020 corrections	-128.9	eV for the cell shown
calculated volume	11.08	A^3/atom
spin magnetization	10.00	μB per cell
E_tot	-6.62	eV/atom
distance to the lowest polymorph of the same formula	21	meV/atom

Cell lengths 5.441, 5.448, 7.559 Å; angles 107.89, 107.80, 94.47 degrees
Positions (direct):
Li1 0.185 0.550 0.132
Li2 0.511 0.154 0.858
Li3 0.486 0.963 0.478
Li4 0.777 0.453 0.712
Mn1 0.009 0.998 0.016
Mn2 0.986 0.996 0.500
P1 0.660 0.378 0.259
P2 0.344 0.626 0.768
O1 0.714 0.248 0.421
O2 0.276 0.797 0.635
O3 0.326 0.328 0.655
O4 0.148 0.647 0.883
O5 0.865 0.338 0.153
O6 0.636 0.729 0.903
O7 0.657 0.673 0.356
O8 0.383 0.252 0.093
F1 0.810 0.109 0.744
F2 0.154 0.894 0.274

=====

The following is a DFT calculation (PBE with a Hubbard U) of a relaxed structure of Li5MnP2O8F2.

Calculated values
energy with MP2020 corrections	-364.7	eV for the cell shown
calculated volume	10.52	A^3/atom
spin magnetization	12.00	μB per cell
E_tot	-6.30	eV/atom

Cell lengths 9.994, 9.994, 6.567 Å; angles 90.00, 90.00, 120.00 degrees
Positions (direct):
Li1 0.500 0.501 0.502
Li2 0.667 0.333 0.560
Li3 0.667 0.333 0.945
Li4 0.333 0.667 0.449
Li5 0.333 0.667 0.066
Li6 0.499 0.999 0.502
Li7 0.001 0.500 0.502
Li8 0.798 0.148 0.735
Li9 0.654 0.802 0.274
Li10 0.149 0.346 0.274
Li11 0.000 0.000 0.984
Li12 0.000 0.000 0.490
Li13 0.852 0.650 0.735
Li14 0.350 0.202 0.735
Li15 0.198 0.851 0.274
Mn1 0.500 0.500 0.004
Mn2 0.500 0.000 0.004
Mn3 0.000 0.500 0.004
P1 0.368 0.192 0.260
P2 0.823 0.632 0.260
P3 0.632 0.809 0.750
P4 0.808 0.177 0.260
P5 0.178 0.368 0.750
P6 0.191 0.822 0.750
O1 0.350 0.406 0.772
O2 0.452 0.295 0.068
O3 0.446 0.281 0.454
O4 0.652 0.596 0.235
O5 0.404 0.056 0.235
O6 0.835 0.554 0.454
O7 0.843 0.548 0.068
O8 0.594 0.944 0.772
O9 0.705 0.157 0.068
O10 0.719 0.165 0.454
O11 0.557 0.720 0.555
O12 0.547 0.706 0.941
O13 0.944 0.348 0.235
O14 0.056 0.650 0.772
O15 0.871 0.064 0.256
O16 0.807 0.874 0.758
O17 0.158 0.453 0.941
O18 0.163 0.443 0.555
O19 0.067 0.193 0.758
O20 0.936 0.806 0.256
O21 0.194 0.129 0.256
O22 0.126 0.933 0.758
O23 0.280 0.837 0.555
O24 0.294 0.842 0.941
F1 0.359 0.513 0.241
F2 0.642 0.487 0.770
F3 0.513 0.155 0.770
F4 0.487 0.846 0.241
F5 0.845 0.358 0.770
F6 0.154 0.641 0.241

=====

The following is a DFT calculation (PBE with a Hubbard U) of a relaxed structure of Li3MnP2O6F4.

Calculated values
energy with MP2020 corrections	-431.6	eV for the cell shown
calculated volume	11.74	A^3/atom
spin magnetization	0.00	μB per cell
E_tot	-6.27	eV/atom

Cell lengths 6.455, 7.484, 15.556 Å; angles 90.00, 91.02, 90.00 degrees
Positions (direct):
Li1 0.500 0.500 0.000
Li2 0.500 0.500 0.500
Li3 0.500 0.000 0.250
Li4 0.500 0.000 0.750
Li5 0.259 0.236 0.412
Li6 0.259 0.236 0.912
Li7 0.741 0.736 0.338
Li8 0.741 0.736 0.838
Li9 0.741 0.764 0.088
Li10 0.741 0.764 0.588
Li11 0.259 0.264 0.162
Li12 0.259 0.264 0.662
Mn1 0.000 0.500 0.500
Mn2 0.000 0.000 0.750
Mn3 0.000 0.500 0.000
Mn4 0.000 0.000 0.250
P1 0.251 0.840 0.071
P2 0.251 0.840 0.571
P3 0.749 0.340 0.179
P4 0.749 0.340 0.679
P5 0.749 0.160 0.429
P6 0.749 0.160 0.929
P7 0.251 0.660 0.321
P8 0.251 0.660 0.821
O1 0.236 0.541 0.400
O2 0.236 0.541 0.900
O3 0.764 0.041 0.350
O4 0.764 0.041 0.850
O5 0.764 0.459 0.100
O6 0.764 0.459 0.600
O7 0.236 0.959 0.150
O8 0.236 0.959 0.650
O9 0.949 0.274 0.441
O10 0.949 0.274 0.941
O11 0.051 0.774 0.309
O12 0.051 0.774 0.809
O13 0.051 0.726 0.059
O14 0.051 0.726 0.559
O15 0.949 0.226 0.191
O16 0.949 0.226 0.691
O17 0.552 0.264 0.439
O18 0.552 0.264 0.939
O19 0.448 0.764 0.311
O20 0.448 0.764 0.811
O21 0.448 0.736 0.061
O22 0.448 0.736 0.561
O23 0.552 0.236 0.189
O24 0.552 0.236 0.689
F1 0.234 0.386 0.054
F2 0.233 0.386 0.554
F3 0.766 0.886 0.196
F4 0.767 0.886 0.696
F5 0.766 0.614 0.446
F6 0.766 0.614 0.946
F7 0.233 0.114 0.304
F8 0.234 0.114 0.804
F9 0.238 0.974 0.490
F10 0.238 0.974 0.990
F11 0.762 0.474 0.260
F12 0.762 0.474 0.760
F13 0.762 0.026 0.010
F14 0.762 0.026 0.510
F15 0.238 0.526 0.240
F16 0.238 0.526 0.740